Computed, not measured: an optimized crystal structure of LiSe2O6 at the PBE level of DFT.

Calculated values
Volume   16.43 Å³/atom
ΔE to the lowest computed polymorph   0.0 kJ/mol of formula units
Total magnetization   0.11 μB per atom
Mass density   2.93 g/cm3
Final energy   -90.821 eV/cell
Energy of formation from the pure elements   -1.22 eV per atom

Cell: 5.5623 7.3915 8.3142 Å, 90.00 120.12 90.00°
Last column: nearest neighbours and their distance in Å.
Sites, in units of the cell vectors:
Li 0.0000 0.2209 0.0000  4 O 1.98-2.04
Li 0.0000 0.7791 0.5000  4 O 1.98-2.04
Se 0.0935 0.2308 0.6046  3 O 1.64-1.66
Se 0.0935 0.7692 0.1046  3 O 1.64-1.66
Se 0.6154 0.3952 0.2007  2 O 1.65-1.66
Se 0.6154 0.6048 0.7007  2 O 1.65-1.66
O 0.0489 0.2851 0.7797  1 Se 1.64
O 0.0489 0.7149 0.2797  1 Se 1.64
O 0.3628 0.2984 0.2197  1 Se 1.65
O 0.3628 0.7016 0.7197  1 Se 1.65
O 0.4143 0.2619 0.6448  1 Se 1.66
O 0.4143 0.7381 0.1448  1 Se 1.66
O 0.7276 0.2653 0.0890  1 Se 1.66
O 0.7276 0.7347 0.5890  1 Se 1.66
O 0.9048 0.4175 0.4439  2 Se 1.84-1.85
O 0.9048 0.5825 0.9439  2 Se 1.84-1.85
O 0.9455 0.0441 0.4913  1 Se 1.64
O 0.9455 0.9559 0.9913  1 Se 1.64